VASP calculation (r2SCAN) on FeF3 after structural relaxation.

Cell and atoms, written as POSCAR:
```
FeF3
1.0
3.7004 -6.3117 0.0000
3.7004 6.3117 0.0000
0.0000 0.0000 7.4410
Fe F
6 18
Cartesian
0.0000 0.0000 0.0000
0.0000 0.0000 3.7205
1.8502 3.1559 0.0000
1.8502 3.1559 3.7205
1.8502 -3.1559 0.0000
1.8502 -3.1559 3.7205
3.7004 5.7609 5.5808
2.1578 2.7109 1.8603
1.3672 1.3167 4.0902
1.3672 1.3167 7.0714
3.7004 2.7580 4.1176
3.7004 2.7580 7.0440
1.3672 -1.3167 0.3697
1.3672 -1.3167 3.3509
5.2430 2.7109 1.8603
2.1578 -2.7109 5.5808
6.0335 1.3167 4.0902
6.0335 1.3167 7.0714
3.7004 -2.7580 0.3971
3.7004 -2.7580 3.3234
6.0335 -1.3167 0.3697
6.0335 -1.3167 3.3509
5.2430 -2.7109 5.5808
3.7004 -5.7609 1.8603
```

Output
crystal system = orthorhombic
ΔH_f (0 K) = -2.5351 eV per atom